Record 1
Compound: Rb2CuBr3
Source: the Materials Project
Functional: r²SCAN
Structure: optimized geometry

Lattice parameters (Å, degrees): 13.154 4.412 13.648 90.00 90.00 90.00
Fractional positions:
Rb 0.013 0.250 0.175
Rb 0.174 0.250 0.524
Rb 0.326 0.750 0.024
Rb 0.487 0.750 0.675
Rb 0.513 0.250 0.325
Rb 0.674 0.250 0.976
Rb 0.826 0.750 0.476
Rb 0.987 0.750 0.825
Cu 0.243 0.750 0.309
Cu 0.257 0.250 0.809
Cu 0.743 0.750 0.191
Cu 0.757 0.250 0.691
Br 0.065 0.750 0.362
Br 0.138 0.250 0.948
Br 0.227 0.750 0.721
Br 0.273 0.250 0.221
Br 0.362 0.750 0.448
Br 0.435 0.250 0.862
Br 0.565 0.750 0.138
Br 0.638 0.250 0.552
Br 0.727 0.750 0.779
Br 0.773 0.250 0.279
Br 0.862 0.750 0.052
Br 0.935 0.250 0.638

Calculated values
calculated formation energy: -1.4495 eV/atom
energy: -348.73 eV per cell
symmetry: No. 62


Record 2
Compound: RbCuBr3
Source: the Materials Project
Functional: r²SCAN
Structure: optimized geometry

Lattice parameters (Å, degrees): 5.132 5.154 5.147 90.00 90.06 90.00
Fractional positions:
Rb 0.000 0.000 0.000
Cu 0.500 0.500 0.499
Br 0.499 0.000 0.501
Br 0.500 0.500 0.001
Br 0.999 0.500 0.501

Calculated values
calculated formation energy: -1.0506 eV/atom
energy: -69.81 eV per cell
symmetry: No. 6


Record 3
Compound: CuTe2Br
Source: the Materials Project
Functional: r²SCAN
Structure: optimized geometry

Lattice parameters (Å, degrees): 8.371 5.131 12.575 90.00 115.66 90.00
Fractional positions:
Cu 0.180 0.133 0.250
Cu 0.180 0.367 0.750
Cu 0.820 0.633 0.250
Cu 0.820 0.867 0.750
Te 0.278 0.024 0.645
Te 0.278 0.476 0.145
Te 0.414 0.709 0.853
Te 0.414 0.791 0.353
Te 0.586 0.209 0.647
Te 0.586 0.291 0.147
Te 0.722 0.524 0.855
Te 0.722 0.976 0.355
Br 0.086 0.114 0.879
Br 0.086 0.386 0.379
Br 0.914 0.614 0.621
Br 0.914 0.886 0.121

Calculated values
calculated formation energy: -0.2575 eV/atom
energy: -303.88 eV per cell
symmetry: No. 14


Record 4
Compound: DyBr3
Source: the Materials Project
Functional: r²SCAN
Structure: optimized geometry

Lattice parameters (Å, degrees): 9.972 9.972 3.736 90.00 90.00 120.00
Fractional positions:
Dy 0.333 0.667 0.250
Dy 0.667 0.333 0.750
Br 0.212 0.423 0.750
Br 0.212 0.788 0.750
Br 0.423 0.212 0.250
Br 0.577 0.788 0.750
Br 0.788 0.212 0.250
Br 0.788 0.577 0.250

Calculated values
calculated formation energy: -2.0747 eV/atom
energy: -160.11 eV per cell
symmetry: No. 194


Record 5
Compound: Na3DyBr6
Source: the Materials Project
Functional: r²SCAN
Structure: optimized geometry

Lattice parameters (Å, degrees): 7.192 7.675 12.811 90.00 123.33 90.00
Fractional positions:
Na 0.000 0.000 0.000
Na 0.000 0.500 0.500
Na 0.207 0.086 0.738
Na 0.207 0.414 0.238
Na 0.793 0.586 0.762
Na 0.793 0.914 0.262
Dy 0.500 0.000 0.500
Dy 0.500 0.500 0.000
Br 0.116 0.179 0.435
Br 0.116 0.321 0.935
Br 0.253 0.691 0.421
Br 0.253 0.809 0.921
Br 0.403 0.062 0.259
Br 0.403 0.438 0.759
Br 0.597 0.562 0.241
Br 0.597 0.938 0.741
Br 0.747 0.191 0.079
Br 0.747 0.309 0.579
Br 0.884 0.679 0.065
Br 0.884 0.821 0.565

Calculated values
calculated formation energy: -1.9404 eV/atom
energy: -283.26 eV per cell
symmetry: No. 14


Record 6
Compound: DySBr
Source: the Materials Project
Functional: r²SCAN
Structure: optimized geometry

Lattice parameters (Å, degrees): 4.068 5.343 8.594 90.00 90.00 90.00
Fractional positions:
Dy 0.250 0.250 0.134
Dy 0.750 0.750 0.866
S 0.250 0.750 0.080
S 0.750 0.250 0.920
Br 0.250 0.750 0.640
Br 0.750 0.250 0.360

Calculated values
calculated formation energy: -2.3055 eV/atom
energy: -120.38 eV per cell
symmetry: No. 59